# 1
Entry from Materials Project: a relaxed structure of Na4Al2Si3Ge2S3O24 (PBE).

a b c (Å): 8.6272 8.6296 21.8717
angles (deg): 92.40 90.08 119.68
Space group P1 (No. 1)
Asymmetric unit:
Na  0.0000  0.0000  0.0000
Na  0.0078  0.0047  0.4937
Na  0.0347  0.3428  0.5800
Na  0.3068  0.3390  0.0741
Na  0.3205  0.6646  0.6651
Na  0.3327  0.6784  0.1602
Na  0.3636  0.9993  0.2419
Na  0.6346  0.0096  0.7560
Na  0.6606  0.3312  0.8365
Na  0.6724  0.3330  0.3289
Na  0.6979  0.6719  0.9198
Na  0.9730  0.6712  0.4089
Al  0.0021  0.9809  0.1401
Al  0.0067  0.0040  0.6447
Al  0.3085  0.6691  0.3112
Al  0.3237  0.6567  0.8159
Al  0.6389  0.3237  0.9760
Al  0.6753  0.3459  0.4708
Si  0.0102  0.3049  0.7427
Si  0.0410  0.3742  0.4098
Si  0.3359  0.3909  0.9132
Si  0.3430  0.9732  0.4097
Si  0.3804  0.0497  0.0796
Si  0.6165  0.9677  0.9086
Si  0.6756  0.6332  0.0756
Si  0.9572  0.6399  0.5764
Si  0.9924  0.7080  0.2442
Ge  0.0115  0.0085  0.3475
Ge  0.3040  0.6739  0.5067
Ge  0.3702  0.6941  0.0153
Ge  0.6738  0.3590  0.1726
Ge  0.6975  0.3581  0.6788
Ge  0.9983  0.0425  0.8538
S  0.0498  0.6775  0.9109
S  0.2869  0.0104  0.7451
S  0.2870  0.3013  0.2465
S  0.3890  0.3410  0.5802
S  0.6087  0.6716  0.4131
S  0.6609  0.0442  0.5777
S  0.7150  0.7160  0.7433
S  0.7180  0.0018  0.2457
S  0.9531  0.3389  0.0784
O  0.0143  0.1730  0.4023
O  0.0226  0.8363  0.9049
O  0.0272  0.2035  0.6809
O  0.0391  0.8488  0.1918
O  0.1314  0.4992  0.0770
O  0.1317  0.6522  0.8543
O  0.1385  0.5129  0.3575
O  0.1532  0.9784  0.4041
O  0.1593  0.1872  0.9083
O  0.1586  0.6510  0.5722
O  0.1617  0.7142  0.9666
O  0.1632  0.4496  0.4759
O  0.1739  0.6927  0.2514
O  0.1760  0.2211  0.1907
O  0.1776  0.9838  0.6890
O  0.1803  0.5010  0.7534
O  0.1902  0.0434  0.0904
O  0.2046  0.0368  0.8013
O  0.2064  0.1818  0.5844
O  0.2079  0.1844  0.3008
O  0.2827  0.8379  0.4689
O  0.2904  0.4756  0.9754
O  0.3097  0.8513  0.7466
O  0.3123  0.4817  0.2571
O  0.3502  0.8461  0.0707
O  0.3692  0.5103  0.8548
O  0.3714  0.5038  0.5800
O  0.3767  0.8825  0.3492
O  0.4644  0.3106  0.2429
O  0.4677  0.1783  0.0241
O  0.4685  0.1728  0.7408
O  0.4722  0.3143  0.5258
O  0.4868  0.6427  0.0737
O  0.4976  0.3651  0.6389
O  0.4984  0.8738  0.8458
O  0.5034  0.6477  0.3577
O  0.5032  0.8626  0.5712
O  0.5076  0.1353  0.1449
O  0.5089  0.1678  0.4242
O  0.5122  0.3710  0.9186
O  0.5281  0.7036  0.4712
O  0.5372  0.7010  0.7460
O  0.5417  0.8360  0.2489
O  0.5443  0.8348  0.9666
O  0.6182  0.5013  0.1351
O  0.6260  0.1204  0.6375
O  0.6284  0.5106  0.4181
O  0.6532  0.1670  0.9202
O  0.6893  0.1584  0.2460
O  0.6899  0.5296  0.7364
O  0.6914  0.1621  0.5274
O  0.7061  0.5390  0.0155
O  0.7909  0.8304  0.4128
O  0.8045  0.8275  0.6908
O  0.8100  0.9891  0.1911
O  0.8111  0.5073  0.2365
O  0.8125  0.9692  0.9030
O  0.8158  0.3113  0.7377
O  0.8216  0.7886  0.8011
O  0.8264  0.0316  0.5850
O  0.8288  0.0350  0.3039
O  0.8313  0.5388  0.5174
O  0.8400  0.3092  0.0247
O  0.8410  0.8315  0.0856
O  0.8509  0.3677  0.4194
O  0.8733  0.5165  0.9140
O  0.8782  0.3750  0.1374
O  0.8821  0.5035  0.6352
O  0.9502  0.1645  0.7997
O  0.9535  0.7935  0.3091
O  0.9742  0.1806  0.0864
O  0.9784  0.8350  0.5885

Results
M_tot ... 0.000 μB/atom
Calculated total energy ... -6.462 eV per atom
Crystal system ... triclinic



# 2
Entry from Materials Project: a relaxed structure of CsHgCl3 (PBE).

a b c (Å): 6.4303 6.4303 8.8352
angles (deg): 90.00 90.00 90.00
Space group P-42_1m (No. 113)
Asymmetric unit:
Cs  0.0000  0.0000  0.0000
Hg  0.0000  0.5000  0.3801
Cl  0.0000  0.5000  0.0603
Cl  0.2372  0.2628  0.6253

Results
Excess energy over the best structure of this formula in the dataset ... 0.079 eV/atom
M_tot ... 0.000 μB/atom
Calculated total energy ... -2.458 eV per atom
Crystal system ... tetragonal



# 3
Entry from Materials Project: a relaxed structure of Sr4GaSn3 (PBE).

a b c (Å): 4.5992 4.9866 12.1183
angles (deg): 90.00 90.00 90.00
Space group Pmm2 (No. 25)
Asymmetric unit:
Sr  0.0000  0.0000  0.0000
Sr  0.0000  0.5000  0.4958
Sr  0.5000  0.0000  0.2702
Sr  0.5000  0.5000  0.7729
Ga  0.0000  0.5000  0.2090
Sn  0.0000  0.0000  0.7126
Sn  0.5000  0.0000  0.5573
Sn  0.5000  0.5000  0.0636

Results
M_tot ... 0.000 μB/atom
Calculated total energy ... -3.350 eV per atom
Crystal system ... orthorhombic



# 4
Entry from Materials Project: a relaxed structure of GaSb2Te2Cl4 (PBE).

a b c (Å): 9.8067 13.4869 18.4315
angles (deg): 76.11 87.90 89.18
Space group P-1 (No. 2)
Asymmetric unit:
Ga  0.0033  0.2527  0.1870
Ga  0.0168  0.7556  0.1424
Ga  0.4671  0.4770  0.6702
Ga  0.4788  0.0003  0.6625
Sb  0.0388  0.2194  0.6187
Sb  0.1164  0.7302  0.5823
Sb  0.1855  0.9572  0.5342
Sb  0.1943  0.4867  0.4676
Sb  0.2968  0.2474  0.0008
Sb  0.3167  0.7692  0.9462
Sb  0.3833  0.9958  0.9090
Sb  0.4274  0.4891  0.1049
Te  0.0549  0.4678  0.6106
Te  0.0594  0.9948  0.3919
Te  0.1562  0.2435  0.4706
Te  0.2232  0.7206  0.4381
Te  0.3066  0.5052  0.9627
Te  0.3339  0.0158  0.0590
Te  0.4338  0.2510  0.1341
Te  0.4511  0.7355  0.0857
Cl  0.0402  0.3662  0.0801
Cl  0.0416  0.8679  0.0333
Cl  0.0553  0.1031  0.1671
Cl  0.0790  0.6069  0.1244
Cl  0.1329  0.2885  0.2722
Cl  0.1457  0.7965  0.2259
Cl  0.1994  0.2397  0.8226
Cl  0.2125  0.7452  0.7771
Cl  0.2682  0.0208  0.7054
Cl  0.3180  0.5416  0.2964
Cl  0.3394  0.4989  0.7652
Cl  0.3759  0.9662  0.2593
Cl  0.4021  0.3448  0.6305
Cl  0.4555  0.6121  0.5753
Cl  0.4932  0.1561  0.3492
Cl  0.4947  0.8937  0.4483

Results
M_tot ... 0.000 μB/atom
Calculated total energy ... -3.447 eV per atom
Crystal system ... triclinic



# 5
Entry from Materials Project: a relaxed structure of Lu2C (PBE).

a b c (Å): 3.5138 3.5138 17.6308
angles (deg): 90.00 90.00 120.00
Space group R-3m (No. 166, hexagonal axes)
Asymmetric unit:
Lu  0.0000  0.0000  0.2409
C  0.0000  0.0000  0.5000

Results
Calculated total energy ... -6.463 eV per atom
Crystal system ... trigonal



# 6
Entry from Materials Project: a relaxed structure of ScAs2O2 (PBE).

a b c (Å): 10.2877 10.2877 12.7346
angles (deg): 90.00 90.00 90.00
Space group I4_1/amd (No. 141, origin choice 2)
Asymmetric unit:
Sc  0.0000  0.0000  0.0000
As  0.0000  0.1242  0.7275
O  0.0000  0.0393  0.8491

Results
M_tot ... 0.000 μB/atom
Calculated total energy ... -6.245 eV per atom
Crystal system ... tetragonal



# 7
Entry from Materials Project: a relaxed structure of Cs3Sr (PBE).

a b c (Å): 10.3431 10.3431 8.2076
angles (deg): 90.00 90.00 120.00
Space group P6_3/mmc (No. 194)
Asymmetric unit:
Cs  0.1706  0.3412  0.2500
Sr  0.3333  0.6667  0.7500

Results
M_tot ... 0.001 μB/atom
Calculated total energy ... -0.922 eV per atom
Crystal system ... hexagonal



# 8
Entry from Materials Project: a relaxed structure of AgI (PBE).

a b c (Å): 4.7892 4.7892 6.3895
angles (deg): 90.00 90.00 90.00
Space group I-4m2 (No. 119)
Asymmetric unit:
Ag  0.0000  0.0000  0.0000
I  0.0000  0.5000  0.2500

Results
M_tot ... 0.000 μB/atom
Calculated total energy ... -2.458 eV per atom
Crystal system ... tetragonal
Piezoelectric modulus e_max ... 0.18 C/m²



# 9
Entry from Materials Project: a relaxed structure of ErBiRh (PBE).

a b c (Å): 7.6625 7.6625 3.9644
angles (deg): 90.00 90.00 120.00
Space group P-62m (No. 189)
Asymmetric unit:
Er  0.0000  0.6005  0.0000
Bi  0.0000  0.2656  0.5000
Rh  0.0000  0.0000  0.0000
Rh  0.3333  0.6667  0.5000

Results
Calculated total energy ... -6.007 eV per atom
Crystal system ... hexagonal



# 10
Entry from Materials Project: a relaxed structure of NdCo2Si2 (PBE).

a b c (Å): 3.9413 3.9413 9.9980
angles (deg): 90.00 90.00 90.00
Space group I4/mmm (No. 139)
Asymmetric unit:
Nd  0.0000  0.0000  0.0000
Co  0.0000  0.5000  0.2500
Si  0.0000  0.0000  0.3671

Results
Calculated total energy ... -6.729 eV per atom
Crystal system ... tetragonal



# 11
Entry from Materials Project: a relaxed structure of NiSb6Ru (PBE).

a b c (Å): 13.0260 9.2901 9.2636
angles (deg): 90.00 134.64 90.00
Space group C2/m (No. 12)
Asymmetric unit:
Ni  0.2500  0.2500  0.0000
Sb  0.0024  0.1621  0.6595
Sb  0.1567  0.5000  0.3204
Sb  0.1577  0.5000  0.9961
Sb  0.1623  0.1572  0.1607
Ru  0.2500  0.2500  0.5000

Results
Calculated total energy ... -5.170 eV per atom
Crystal system ... monoclinic



# 12
Entry from Materials Project: a relaxed structure of Cu3Pd13S7 (PBE).

a b c (Å): 12.7597 12.7597 7.7447
angles (deg): 90.00 90.00 120.00
Space group R3m (No. 160, hexagonal axes)
Asymmetric unit:
Cu  0.0773  0.1546  0.0000
Pd  0.0000  0.0000  0.3002
Pd  0.0269  0.3917  0.4691
Pd  0.0823  0.1645  0.5802
Pd  0.1936  0.3873  0.1248
S  0.0000  0.0000  0.7759
S  0.9999  0.5000  0.0773
S  0.2032  0.1016  0.1751

Results
M_tot ... 0.002 μB/atom
Calculated total energy ... -4.973 eV per atom
Crystal system ... trigonal



Computed values of ΔH_f (0 K) (unit: meV per atom) for the preceding records, in sequence: -2436; -1477; -623; -946; -372; -1410; 172; -469; -733; -733; -192; -405.